[1]
The following is a GGA+U calculation of Li4Ti3V3Sb2O16 after structural relaxation, from the Materials Project database.

Cell: 6.0189 10.3630 10.5454 Å, 89.79 89.60 89.76°
Closest atoms and distances in Å follow each position.
Sites, in units of the cell vectors:
O1 0.0075 0.0023 0.3112  1 Li 1.94, 2 Ti 1.99-2.00, 1 V 2.10
O2 0.2341 0.9212 0.6064  1 Li 1.98, 1 V 2.05, 1 Sb 2.08, 1 Ti 2.14
O3 0.4896 0.9924 0.3140  1 Ti 1.85, 1 Li 1.99, 1 V 2.02
O4 0.2266 0.7539 0.8143  1 V 1.81, 1 Li 2.02
O5 0.0071 0.9988 0.8109  1 Li 1.92, 1 Ti 1.98, 2 V 2.03-2.08
O6 0.2309 0.2492 0.3148  1 Ti 1.86, 1 Li 1.98, 1 V 2.02
O7 0.7746 0.9184 0.6108  1 Li 2.04, 2 V 2.04-2.05, 1 Sb 2.12
O8 0.9847 0.3287 0.1116  2 Ti 1.99-2.00, 1 V 2.11
O9 0.5070 0.4989 0.8110  1 Li 1.92, 1 Ti 1.99, 2 V 2.03-2.08
O10 0.2679 0.7560 0.3181  2 Ti 1.93-1.94, 1 Li 2.01
O11 0.7665 0.0787 0.1069  1 Li 2.02, 1 V 2.03, 1 Sb 2.09, 1 Ti 2.13
O12 0.7341 0.4212 0.6064  1 Li 1.98, 1 V 2.05, 1 Sb 2.08, 1 Ti 2.14
O13 0.7309 0.7492 0.3147  1 Ti 1.86, 1 Li 1.98, 1 V 2.02
O14 0.9897 0.4924 0.3139  1 Ti 1.85, 1 Li 1.99, 1 V 2.02
O15 0.9852 0.6676 0.6114  1 Ti 2.00, 2 V 2.01-2.09
O16 0.4982 0.6569 0.6072  1 Li 2.02, 1 V 2.03, 1 Sb 2.06, 1 Ti 2.17
O17 0.2747 0.4183 0.6107  1 Li 2.04, 2 V 2.04-2.05, 1 Sb 2.12
O18 0.5001 0.3437 0.1075  1 Li 2.01, 1 V 2.03, 1 Sb 2.07, 1 Ti 2.15
O19 0.0001 0.8437 0.1075  1 Li 2.01, 1 V 2.03, 1 Sb 2.07, 1 Ti 2.15
O20 0.7320 0.5776 0.1051  1 Li 2.00, 2 Ti 2.09, 1 Sb 2.09
O21 0.5075 0.5023 0.3112  1 Li 1.94, 2 Ti 1.99-2.00, 1 V 2.10
O22 0.7639 0.7430 0.8192  1 Ti 1.90, 1 V 2.00, 1 Li 2.00
O23 0.9982 0.1569 0.6072  1 Li 2.02, 1 V 2.03, 1 Sb 2.06, 1 Ti 2.17
O24 0.4847 0.8287 0.1116  2 Ti 2.00, 1 V 2.11
O25 0.9928 0.5086 0.8171  1 Ti 1.86, 1 Li 1.97, 1 V 2.02
O26 0.7267 0.2539 0.8142  1 V 1.81, 1 Li 2.02
O27 0.4849 0.1677 0.6113  1 Ti 2.00, 2 V 2.01-2.09
O28 0.2640 0.2431 0.8192  1 Ti 1.90, 1 V 2.00, 1 Li 2.00
O29 0.7679 0.2560 0.3181  2 Ti 1.93-1.94, 1 Li 2.01
O30 0.4928 0.0087 0.8172  1 Ti 1.86, 1 Li 1.97, 1 V 2.02
O31 0.2320 0.0776 0.1051  1 Li 2.00, 2 Ti 2.09, 1 Sb 2.09
O32 0.2665 0.5787 0.1069  1 Li 2.02, 1 V 2.03, 1 Sb 2.08, 1 Ti 2.13
Li1 0.9979 0.6676 0.3897  3 O 1.98-2.01
Li2 0.4978 0.1676 0.3898  3 O 1.98-2.01
Li3 0.4991 0.8338 0.8920  3 O 1.97-2.02
Li4 0.0016 0.9995 0.9932  4 O 1.92-2.02
Li5 0.5015 0.4995 0.9932  4 O 1.92-2.02
Li6 0.9991 0.3338 0.8920  3 O 1.97-2.02
Li7 0.0079 0.0000 0.4948  4 O 1.94-2.04
Li8 0.5079 0.4999 0.4948  4 O 1.94-2.04
V1 0.2447 0.4151 0.2132  6 O 2.02-2.11
V2 0.7447 0.9151 0.2133  6 O 2.02-2.11
V3 0.7449 0.0841 0.7136  6 O 2.02-2.09
V4 0.5082 0.3264 0.7198  3 O 1.81-2.01
V5 0.0083 0.8264 0.7198  3 O 1.81-2.01
V6 0.2451 0.5840 0.7136  6 O 2.02-2.09
Sb1 0.0011 0.6679 0.0149  3 O 2.07-2.09
Sb2 0.0035 0.3331 0.5163  3 O 2.06-2.12
Sb3 0.5011 0.1678 0.0149  3 O 2.07-2.09
Sb4 0.5035 0.8332 0.5163  3 O 2.06-2.12
Ti1 0.5042 0.6731 0.2230  4 O 1.86-2.00
Ti2 0.0042 0.1731 0.2230  4 O 1.86-2.00
Ti3 0.2624 0.0859 0.7275  4 O 1.86-2.00
Ti4 0.7626 0.4167 0.2234  4 O 1.85-2.00
Ti5 0.2626 0.9167 0.2234  4 O 1.85-2.00
Ti6 0.7625 0.5859 0.7274  4 O 1.86-2.00

Properties
Uncorrected energy in eV/atom: -7.295
Corrected total energy (MP2020 scheme) in eV per atom: -7.8695
Offset from the most stable computed form in eV per atom: 0.0000

[2]
The following is a GGA+U calculation of Li2V3SbO8 after structural relaxation, from the Materials Project database.

Cell: 6.0491 6.1603 8.6245 Å, 88.61 90.00 90.01°
Closest atoms and distances in Å follow each position.
Sites, in units of the cell vectors:
Li1 0.9992 0.7383 0.8692  4 O 2.03-2.07
Li2 0.9993 0.2617 0.1308  4 O 2.04-2.07
Li3 0.5008 0.7616 0.6311  4 O 2.03-2.07
Li4 0.5008 0.2384 0.3689  4 O 2.03-2.07
Sb1 0.5036 0.5001 0.0000  6 O 2.02-2.04
Sb2 0.9968 0.0001 0.5000  6 O 2.02-2.04
O1 0.5062 0.5167 0.2347  1 Sb 2.03, 1 Li 2.05, 2 V 2.06-2.11
O2 0.7261 0.7449 0.0067  1 Sb 2.02, 1 Li 2.03, 2 V 2.08-2.11
O3 0.7745 0.2445 0.5057  1 Sb 2.02, 1 Li 2.03, 2 V 2.08-2.11
O4 0.9937 0.9825 0.2654  1 Sb 2.03, 1 Li 2.05, 2 V 2.06-2.12
O5 0.4983 0.0319 0.7661  3 V 2.02-2.03, 1 Li 2.05
O6 0.2264 0.2424 0.5117  1 Sb 2.04, 2 V 2.06-2.10, 1 Li 2.07
O7 0.0003 0.5335 0.2662  3 V 2.02, 1 Li 2.06
O8 0.7745 0.7553 0.4943  1 Sb 2.02, 1 Li 2.03, 2 V 2.08-2.11
O9 0.4985 0.9680 0.2338  3 V 2.02-2.03, 1 Li 2.06
O10 0.9935 0.0175 0.7346  1 Sb 2.03, 1 Li 2.05, 2 V 2.06-2.12
O11 0.2738 0.7419 0.0118  1 Sb 2.04, 2 V 2.06-2.11, 1 Li 2.07
O12 0.2734 0.2586 0.9880  1 Sb 2.04, 2 V 2.06-2.11, 1 Li 2.07
O13 0.7257 0.2548 0.9935  1 Sb 2.02, 1 Li 2.04, 2 V 2.07-2.11
O14 0.2265 0.7578 0.4883  1 Sb 2.04, 2 V 2.06-2.10, 1 Li 2.07
O15 0.0003 0.4665 0.7337  3 V 2.02, 1 Li 2.07
O16 0.5065 0.4832 0.7654  1 Sb 2.03, 1 Li 2.05, 2 V 2.06-2.11
V1 0.5019 0.0001 0.9999  6 O 2.02-2.11
V2 0.9992 0.5000 0.5000  6 O 2.02-2.10
V3 0.7494 0.2498 0.7497  6 O 2.02-2.11
V4 0.7495 0.7501 0.2503  6 O 2.02-2.11
V5 0.2505 0.2509 0.7500  6 O 2.02-2.12
V6 0.2505 0.7491 0.2501  6 O 2.02-2.12

Properties
Uncorrected energy in eV/atom: -6.991
Corrected total energy (MP2020 scheme) in eV per atom: -7.7482
Offset from the most stable computed form in eV per atom: 0.0036

[3]
The following is a GGA+U calculation of Li6V5SbO12 after structural relaxation, from the Materials Project database.

Cell: 5.4399 9.0727 11.3659 Å, 113.53 94.40 90.00°
Closest atoms and distances in Å follow each position.
Sites, in units of the cell vectors:
V1 0.9998 0.3404 0.9997  6 O 2.09-2.13
V2 0.4998 0.1590 0.0000  6 O 2.07-2.13
V3 0.2501 0.0888 0.5000  6 O 2.05-2.17
V4 0.2502 0.4140 0.5000  6 O 2.15-2.20
V5 0.9999 0.6590 0.0001  6 O 2.07-2.13
V6 0.7502 0.2481 0.5000  6 O 2.05-2.16
V7 0.4999 0.8407 0.0003  6 O 2.09-2.13
V8 0.2501 0.7468 0.5000  6 O 2.05-2.15
V9 0.7501 0.5886 0.5000  6 O 2.05-2.16
V10 0.7501 0.9141 0.5000  6 O 2.15-2.19
Li1 0.3895 0.8098 0.2862  4 O 1.91-2.10
Li2 0.6154 0.8575 0.7127  4 O 1.89-2.11
Li3 0.1138 0.6897 0.7158  4 O 1.90-2.13
Li4 0.8848 0.6446 0.2872  4 O 1.88-2.11
Li5 0.8891 0.3109 0.2859  4 O 1.91-2.09
Li6 0.1107 0.0237 0.7138  4 O 1.91-2.10
Li7 0.3864 0.4739 0.2842  4 O 1.90-2.12
Li8 0.6111 0.5251 0.7141  4 O 1.91-2.09
Li9 0.1156 0.3572 0.7124  4 O 1.88-2.09
Li10 0.8859 0.9739 0.2847  4 O 1.90-2.11
Li11 0.6143 0.1891 0.7152  4 O 1.90-2.11
Li12 0.3847 0.1447 0.2875  4 O 1.88-2.09
Sb1 0.4997 0.4999 0.9996  6 O 2.01-2.04
Sb2 0.9999 0.0002 0.0003  6 O 2.01-2.04
O1 0.8313 0.5542 0.1062  1 Li 1.88, 1 Sb 2.04, 2 V 2.07-2.09
O2 0.4358 0.3009 0.6143  3 Li 2.01-2.09, 3 V 2.05-2.16
O3 0.9210 0.4710 0.6087  3 V 2.08-2.20, 3 Li 2.09-2.10
O4 0.6423 0.2861 0.8983  1 Li 1.90, 1 Sb 2.01, 1 V 2.11
O5 0.6437 0.6109 0.8978  1 Li 1.91, 1 Sb 2.01, 2 V 2.13
O6 0.3317 0.0547 0.1067  1 Li 1.88, 1 Sb 2.04, 2 V 2.07-2.09
O7 0.9320 0.1462 0.6121  3 Li 2.01-2.11, 3 V 2.05-2.17
O8 0.4337 0.6458 0.6120  3 Li 2.01-2.13, 3 V 2.05-2.17
O9 0.5682 0.0341 0.3879  3 Li 2.01-2.11, 3 V 2.05-2.17
O10 0.6683 0.9479 0.8939  1 Li 1.89, 1 Sb 2.04, 2 V 2.07-2.09
O11 0.8560 0.2132 0.1022  1 Li 1.91, 1 Sb 2.01, 2 V 2.13
O12 0.1436 0.1105 0.8978  1 Li 1.91, 1 Sb 2.01, 2 V 2.13
O13 0.0666 0.5337 0.3879  3 Li 2.01-2.12, 3 V 2.05-2.17
O14 0.3570 0.3877 0.1011  1 Li 1.90, 1 Sb 2.01, 1 V 2.11
O15 0.1679 0.4480 0.8934  1 Li 1.88, 1 Sb 2.04, 2 V 2.07-2.09
O16 0.5631 0.6865 0.3864  3 Li 2.01-2.11, 3 V 2.05-2.15
O17 0.5794 0.3622 0.3913  3 V 2.08-2.20, 3 Li 2.09-2.10
O18 0.4219 0.9704 0.6077  3 V 2.08-2.19, 3 Li 2.09-2.10
O19 0.9371 0.8001 0.6135  3 Li 2.01-2.11, 3 V 2.05-2.15
O20 0.0783 0.8626 0.3922  3 V 2.08-2.19, 3 Li 2.09-2.10
O21 0.8573 0.8878 0.1017  1 Li 1.90, 1 Sb 2.01, 1 V 2.11
O22 0.1426 0.7865 0.8989  1 Li 1.90, 1 Sb 2.01, 1 V 2.11
O23 0.0644 0.1865 0.3857  3 Li 2.01-2.09, 3 V 2.05-2.16
O24 0.3561 0.7128 0.1022  1 Li 1.91, 1 Sb 2.01, 2 V 2.12-2.13

Properties
Uncorrected energy in eV/atom: -6.635
Corrected total energy (MP2020 scheme) in eV per atom: -7.3330
Offset from the most stable computed form in eV per atom: 0.0082

[4]
The following is a GGA+U calculation of Li2V3SbO8 after structural relaxation, from the Materials Project database.

Cell: 8.6176 8.6176 8.6176 Å, 90.00 90.00 90.00°
Closest atoms and distances in Å follow each position.
Sites, in units of the cell vectors:
Li1 0.2534 0.7534 0.7466  4 O 2.05
Li2 0.7534 0.7466 0.2534  4 O 2.05
Li3 0.0034 0.0034 0.0034  4 O 2.05
Li4 0.4966 0.9966 0.5034  4 O 2.05
Li5 0.7466 0.2534 0.7534  4 O 2.05
Li6 0.5034 0.4966 0.9966  4 O 2.05
Li7 0.2466 0.2466 0.2466  4 O 2.05
Li8 0.9966 0.5034 0.4966  4 O 2.05
O1 0.8926 0.6099 0.1182  1 Sb 2.03, 1 Li 2.05, 2 V 2.07-2.11
O2 0.3818 0.1074 0.1099  1 Sb 2.03, 1 Li 2.05, 2 V 2.07-2.11
O3 0.8818 0.3926 0.8901  1 Sb 2.03, 1 Li 2.05, 2 V 2.07-2.11
O4 0.3926 0.8901 0.8818  1 Sb 2.03, 1 Li 2.05, 2 V 2.07-2.11
O5 0.8574 0.3682 0.3599  1 Sb 2.03, 1 Li 2.05, 2 V 2.07-2.11
O6 0.6182 0.6074 0.3901  1 Sb 2.03, 1 Li 2.05, 2 V 2.07-2.11
O7 0.8842 0.1158 0.6158  3 V 2.02, 1 Li 2.05
O8 0.8658 0.8658 0.8658  3 V 2.02, 1 Li 2.05
O9 0.3574 0.1318 0.6401  1 Sb 2.03, 1 Li 2.05, 2 V 2.07-2.11
O10 0.1318 0.6401 0.3574  1 Sb 2.03, 1 Li 2.05, 2 V 2.07-2.11
O11 0.6158 0.8842 0.1158  3 V 2.02, 1 Li 2.05
O12 0.1158 0.6158 0.8842  3 V 2.02, 1 Li 2.05
O13 0.3658 0.6342 0.1342  3 V 2.02, 1 Li 2.05
O14 0.1426 0.8682 0.1401  1 Sb 2.03, 1 Li 2.05, 2 V 2.07-2.11
O15 0.3682 0.3599 0.8574  1 Sb 2.03, 1 Li 2.05, 2 V 2.07-2.11
O16 0.8901 0.8818 0.3926  1 Sb 2.03, 1 Li 2.05, 2 V 2.07-2.11
O17 0.6426 0.6318 0.8599  1 Sb 2.03, 1 Li 2.05, 2 V 2.07-2.11
O18 0.6318 0.8599 0.6426  1 Sb 2.03, 1 Li 2.05, 2 V 2.07-2.11
O19 0.1401 0.1426 0.8682  1 Sb 2.03, 1 Li 2.05, 2 V 2.07-2.11
O20 0.6401 0.3574 0.1318  1 Sb 2.03, 1 Li 2.05, 2 V 2.07-2.11
O21 0.6099 0.1182 0.8926  1 Sb 2.03, 1 Li 2.05, 2 V 2.07-2.11
O22 0.1099 0.3818 0.1074  1 Sb 2.03, 1 Li 2.05, 2 V 2.07-2.11
O23 0.1342 0.3658 0.6342  3 V 2.02, 1 Li 2.05
O24 0.6074 0.3901 0.6182  1 Sb 2.03, 1 Li 2.05, 2 V 2.07-2.11
O25 0.3599 0.8574 0.3682  1 Sb 2.03, 1 Li 2.05, 2 V 2.07-2.11
O26 0.1182 0.8926 0.6099  1 Sb 2.03, 1 Li 2.05, 2 V 2.07-2.11
O27 0.6342 0.1342 0.3658  3 V 2.02, 1 Li 2.05
O28 0.3842 0.3842 0.3842  3 V 2.02, 1 Li 2.05
O29 0.8682 0.1401 0.1426  1 Sb 2.03, 1 Li 2.05, 2 V 2.07-2.11
O30 0.3901 0.6182 0.6074  1 Sb 2.03, 1 Li 2.05, 2 V 2.07-2.11
O31 0.8599 0.6426 0.6318  1 Sb 2.03, 1 Li 2.05, 2 V 2.07-2.11
O32 0.1074 0.1099 0.3818  1 Sb 2.03, 1 Li 2.05, 2 V 2.07-2.11
V1 0.6321 0.8750 0.8821  6 O 2.02-2.11
V2 0.8750 0.8821 0.6321  6 O 2.02-2.11
V3 0.6250 0.1179 0.1321  6 O 2.02-2.11
V4 0.3750 0.6179 0.3679  6 O 2.02-2.11
V5 0.3679 0.3750 0.6179  6 O 2.02-2.11
V6 0.8821 0.6321 0.8750  6 O 2.02-2.11
V7 0.1179 0.1321 0.6250  6 O 2.02-2.11
V8 0.8679 0.1250 0.3821  6 O 2.02-2.11
V9 0.1250 0.3821 0.8679  6 O 2.02-2.11
V10 0.1321 0.6250 0.1179  6 O 2.02-2.11
V11 0.3821 0.8679 0.1250  6 O 2.02-2.11
V12 0.6179 0.3679 0.3750  6 O 2.02-2.11
Sb1 0.6250 0.6250 0.6250  6 O 2.03
Sb2 0.8750 0.3750 0.1250  6 O 2.03
Sb3 0.1250 0.8750 0.3750  6 O 2.03
Sb4 0.3750 0.1250 0.8750  6 O 2.03

Properties
Uncorrected energy in eV/atom: -6.991
Corrected total energy (MP2020 scheme) in eV per atom: -7.7480
Offset from the most stable computed form in eV per atom: 0.0038

[5]
The following is a GGA+U calculation of Li6V3Sb3O16 after structural relaxation, from the Materials Project database.

Cell: 6.0588 6.1199 10.0737 Å, 90.34 89.99 119.64°
Closest atoms and distances in Å follow each position.
Sites, in units of the cell vectors:
Sb1 0.1692 0.3402 0.7155  6 O 2.00-2.07
Sb2 0.3362 0.1691 0.2153  6 O 1.98-2.07
Sb3 0.8328 0.1691 0.2153  6 O 1.98-2.07
O1 0.0024 0.0048 0.8183  1 Li 1.81
O2 0.4897 0.5215 0.8224  1 V 1.99, 1 Li 2.00, 1 Sb 2.00
O3 0.5136 0.0272 0.3284  2 Sb 2.04, 1 Li 2.05
O4 0.0047 0.0095 0.3226  1 Li 1.82
O5 0.9731 0.4817 0.3218  1 Sb 1.98, 1 Li 1.99, 1 V 2.02
O6 0.4808 0.9662 0.8117  2 V 1.86-1.97, 1 Li 2.08
O7 0.8450 0.1516 0.6095  2 Li 1.96-2.15, 1 V 2.01, 1 Sb 2.02
O8 0.1516 0.3034 0.1021  2 Li 2.03-2.22, 2 Sb 2.04
O9 0.5085 0.4817 0.3218  1 Sb 1.98, 1 Li 1.99, 1 V 2.02
O10 0.3051 0.1515 0.6093  2 Li 1.95-2.16, 1 V 2.01, 1 Sb 2.02
O11 0.1592 0.8524 0.1104  2 Li 1.93-2.16, 1 Sb 1.99, 1 V 2.04
O12 0.6932 0.8525 0.1104  2 Li 1.93-2.16, 1 Sb 1.99, 1 V 2.04
O13 0.0299 0.5212 0.8219  1 Li 1.99, 1 V 1.99, 1 Sb 2.00
O14 0.3334 0.6673 0.6053  2 V 2.07, 1 Sb 2.07, 1 Li 2.18
O15 0.8487 0.7035 0.6186  2 V 1.88-2.00, 1 Li 1.92
O16 0.6622 0.3245 0.1014  2 Sb 2.07, 1 V 2.15, 1 Li 2.24
V1 0.8325 0.6652 0.2168  6 O 2.02-2.15
V2 0.1768 0.8390 0.7182  6 O 1.86-2.07
V3 0.6685 0.8310 0.7132  6 O 1.88-2.07
Li1 0.6683 0.3369 0.8794  3 O 1.99-2.08
Li2 0.9951 0.9902 0.5030  4 O 1.82-1.96
Li3 0.9881 0.9765 0.9975  4 O 1.81-2.03
Li4 0.3375 0.6749 0.0027  3 O 2.16-2.22
Li5 0.6640 0.3282 0.5067  4 O 2.15-2.40
Li6 0.3295 0.6591 0.3884  4 O 1.99-2.18

Properties
Uncorrected energy in eV/atom: -6.324
Corrected total energy (MP2020 scheme) in eV per atom: -6.8990
Offset from the most stable computed form in eV per atom: 0.0000

[6]
The following is a GGA+U calculation of Li2V3SbO8 after structural relaxation, from the Materials Project database.

Cell: 6.0391 10.7130 6.0390 Å, 73.66 60.02 73.67°
Closest atoms and distances in Å follow each position.
Sites, in units of the cell vectors:
O1 0.8588 0.8762 0.8588  1 Sb 2.03, 1 Li 2.05, 2 V 2.09
O2 0.1412 0.1238 0.5939  1 Sb 2.03, 1 Li 2.05, 2 V 2.09
O3 0.3589 0.3761 0.3589  1 Sb 2.03, 1 Li 2.04, 2 V 2.09
O4 0.3589 0.3762 0.9062  1 Sb 2.03, 1 Li 2.05, 2 V 2.08-2.09
O5 0.6411 0.6238 0.0938  1 Sb 2.03, 1 Li 2.05, 2 V 2.08-2.09
O6 0.4061 0.8762 0.8588  1 Sb 2.03, 1 Li 2.05, 2 V 2.09
O7 0.8588 0.8762 0.4061  1 Sb 2.03, 1 Li 2.05, 2 V 2.09
O8 0.6411 0.6239 0.6411  1 Sb 2.03, 1 Li 2.04, 2 V 2.09
O9 0.3671 0.8988 0.3671  3 V 2.02, 1 Li 2.05
O10 0.8671 0.3987 0.8671  3 V 2.02, 1 Li 2.05
O11 0.1412 0.1238 0.1412  1 Sb 2.03, 1 Li 2.05, 2 V 2.09
O12 0.5939 0.1238 0.1412  1 Sb 2.03, 1 Li 2.05, 2 V 2.09
O13 0.0938 0.6238 0.6411  1 Sb 2.03, 1 Li 2.05, 2 V 2.08-2.09
O14 0.6329 0.1012 0.6329  3 V 2.02, 1 Li 2.05
O15 0.9062 0.3762 0.3589  1 Sb 2.03, 1 Li 2.05, 2 V 2.08-2.09
O16 0.1329 0.6013 0.1329  3 V 2.02, 1 Li 2.05
Li1 0.9346 0.1963 0.9346  4 O 2.05
Li2 0.4346 0.6963 0.4346  4 O 2.04-2.05
Li3 0.0654 0.8037 0.0654  4 O 2.05
Li4 0.5654 0.3037 0.5654  4 O 2.04-2.05
V1 0.0000 0.5000 0.5000  6 O 2.02-2.09
V2 0.5000 0.5000 0.0000  6 O 2.02-2.09
V3 0.5000 0.0000 0.5000  6 O 2.02-2.09
V4 0.0000 0.5000 0.0000  6 O 2.02-2.09
V5 0.5000 0.0000 0.0000  6 O 2.02-2.09
V6 0.0000 0.0000 0.5000  6 O 2.02-2.09
Sb1 0.7499 0.7499 0.7499  6 O 2.03
Sb2 0.2501 0.2501 0.2501  6 O 2.03

Properties
Uncorrected energy in eV/atom: -6.995
Corrected total energy (MP2020 scheme) in eV per atom: -7.7518
Offset from the most stable computed form in eV per atom: 0.0000